A relaxed structure of SmSn4Rh2. Source: the Materials Project, functional PBE.

Structure (CIF):
```
data_SmSn4Rh2
_space_group_name_H-M_alt 'P n m a'
_space_group_IT_number 62
_cell_length_a 18.5896
_cell_length_b 4.5156
_cell_length_c 7.2379
_cell_angle_alpha 90.00
_cell_angle_beta 90.00
_cell_angle_gamma 90.00
loop_
_space_group_symop_operation_xyz
'x,y,z'
'-x,-y,-z'
'-x+1/2,-y,z+1/2'
'x+1/2,y,-z+1/2'
'x+1/2,-y+1/2,-z+1/2'
'-x+1/2,y+1/2,z+1/2'
'-x,y+1/2,-z'
'x,-y+1/2,z'
loop_
_atom_site_label
_atom_site_fract_x
_atom_site_fract_y
_atom_site_fract_z
_atom_site_occupancy
Sm1 0.1424 0.2500 0.0013 1
Sn1 0.0319 0.7500 0.8658 1
Sn2 0.0678 0.2500 0.4829 1
Sn3 0.1820 0.7500 0.3020 1
Sn4 0.1941 0.7500 0.7230 1
Rh1 0.0353 0.7500 0.2490 1
Rh2 0.2142 0.2500 0.5185 1
```

volume: 151.9 Å³/f.u.
E: -159.3 eV for the cell shown
DFT formation energy: -622 meV per atom
total moment: 0.00 μB per cell

A relaxed structure of Sm5Sn10Rh4. Source: the Materials Project, functional PBE.

Structure (CIF):
```
data_Sm5Sn10Rh4
_space_group_name_H-M_alt 'P 4/m b m'
_space_group_IT_number 127
_space_group_name_Hall '-P 4 2ab'
_cell_length_a 14.1702
_cell_length_b 14.1702
_cell_length_c 4.5963
_cell_angle_alpha 90.00
_cell_angle_beta 90.00
_cell_angle_gamma 90.00
loop_
_atom_site_label
_atom_site_fract_x
_atom_site_fract_y
_atom_site_fract_z
_atom_site_occupancy
Sm1 0.0000 0.0000 0.0000 1
Sm2 0.1116 0.3884 0.5000 1
Sm3 0.1766 0.6766 0.5000 1
Sn1 0.0057 0.8372 0.5000 1
Sn2 0.0694 0.5694 0.0000 1
Sn3 0.1548 0.1978 0.0000 1
Rh1 0.0272 0.7531 0.0000 1
```

volume: 461.5 Å³/f.u.
E: -213.7 eV for the cell shown
DFT formation energy: -721 meV per atom
total moment: 0.02 μB per cell

A relaxed structure of Sm3Sn13Rh4. Source: the Materials Project, functional PBE.

Structure (CIF):
```
data_Sm3Sn13Rh4
_space_group_name_H-M_alt 'P m -3 n'
_space_group_IT_number 223
_space_group_name_Hall '-P 4n 2 3'
_cell_length_a 9.7990
_cell_length_b 9.7990
_cell_length_c 9.7990
_cell_angle_alpha 90.00
_cell_angle_beta 90.00
_cell_angle_gamma 90.00
loop_
_atom_site_label
_atom_site_fract_x
_atom_site_fract_y
_atom_site_fract_z
_atom_site_occupancy
Sm1 0.0000 0.2500 0.5000 1
Sn1 0.0000 0.0000 0.0000 1
Sn2 0.0000 0.3083 0.1532 1
Rh1 0.2500 0.2500 0.2500 1
```

volume: 470.5 Å³/f.u.
E: -213.8 eV for the cell shown
DFT formation energy: -558 meV per atom

A relaxed structure of SmYRh2. Source: the Materials Project, functional PBE.

Structure (CIF):
```
data_SmYRh2
_space_group_name_H-M_alt 'F m -3 m'
_space_group_IT_number 225
_space_group_name_Hall '-F 4 2 3'
_cell_length_a 6.9498
_cell_length_b 6.9498
_cell_length_c 6.9498
_cell_angle_alpha 90.00
_cell_angle_beta 90.00
_cell_angle_gamma 90.00
loop_
_atom_site_label
_atom_site_fract_x
_atom_site_fract_y
_atom_site_fract_z
_atom_site_occupancy
Sm1 0.0000 0.0000 0.0000 1
Y1 0.0000 0.0000 0.5000 1
Rh1 0.2500 0.2500 0.2500 1
```

volume: 83.9 Å³/f.u.
E: -116.1 eV for the cell shown
DFT formation energy: -778 meV per atom

A relaxed structure of Sn4Rh. Source: the Materials Project, functional PBE.

Structure (CIF):
```
data_Sn4Rh
_space_group_name_H-M_alt 'P 31 2 1'
_space_group_IT_number 152
_cell_length_a 6.8657
_cell_length_b 6.8657
_cell_length_c 8.7974
_cell_angle_alpha 90.00
_cell_angle_beta 90.00
_cell_angle_gamma 120.00
loop_
_space_group_symop_operation_xyz
'x,y,z'
'-y,x-y,z+1/3'
'-x+y,-x,z+2/3'
'y,x,-z'
'x-y,-y,-z+2/3'
'-x,-x+y,-z+1/3'
loop_
_atom_site_label
_atom_site_fract_x
_atom_site_fract_y
_atom_site_fract_z
_atom_site_occupancy
Sn1 0.0000 0.0922 0.1667 1
Sn2 0.0000 0.6299 0.1667 1
Sn3 0.2363 0.4990 0.9304 1
Rh1 0.0000 0.3099 0.6667 1
```

volume: 119.7 Å³/f.u.
E: -74.2 eV for the cell shown
DFT formation energy: -267 meV per atom

A relaxed structure of SnRh. Source: the Materials Project, functional PBE.

Structure (CIF):
```
data_SnRh
_space_group_name_H-M_alt 'P 21 3'
_space_group_IT_number 198
_space_group_name_Hall 'P 2ac 2ab 3'
_cell_length_a 5.2130
_cell_length_b 5.2130
_cell_length_c 5.2130
_cell_angle_alpha 90.00
_cell_angle_beta 90.00
_cell_angle_gamma 90.00
loop_
_atom_site_label
_atom_site_fract_x
_atom_site_fract_y
_atom_site_fract_z
_atom_site_occupancy
Sn1 0.1602 0.3398 0.6602 1
Rh1 0.1435 0.1435 0.1435 1
```

volume: 35.4 Å³/f.u.
E: -49.2 eV for the cell shown
DFT formation energy: -463 meV per atom

A relaxed structure of Sn4Rh. Source: the Materials Project, functional PBE.

Structure (CIF):
```
data_Sn4Rh
_space_group_name_H-M_alt 'I 41/a c d'
_space_group_IT_number 142
_cell_length_a 6.4028
_cell_length_b 6.4028
_cell_length_c 23.4169
_cell_angle_alpha 90.00
_cell_angle_beta 90.00
_cell_angle_gamma 90.00
loop_
_space_group_symop_operation_xyz
'x,y,z'
'-x,-y,-z'
'-y+1/4,x+3/4,z+1/4'
'y+1/4,-x+3/4,-z+1/4'
'-x+1/2,-y,z+1/2'
'x+1/2,y,-z+1/2'
'y+1/4,-x+1/4,z+3/4'
'-y+1/4,x+1/4,-z+3/4'
'x,-y,-z+1/2'
'-x,y,z+1/2'
'-y+1/4,-x+1/4,-z+1/4'
'y+1/4,x+1/4,z+1/4'
'-x+1/2,y,-z'
'x+1/2,-y,z'
'y+1/4,x+3/4,-z+3/4'
'-y+1/4,-x+3/4,z+3/4'
'x+1/2,y+1/2,z+1/2'
'-x+1/2,-y+1/2,-z+1/2'
'-y+3/4,x+1/4,z+3/4'
'y+3/4,-x+1/4,-z+3/4'
'-x,-y+1/2,z'
'x,y+1/2,-z'
'y+3/4,-x+3/4,z+1/4'
'-y+3/4,x+3/4,-z+1/4'
'x+1/2,-y+1/2,-z'
'-x+1/2,y+1/2,z'
'-y+3/4,-x+3/4,-z+3/4'
'y+3/4,x+3/4,z+3/4'
'-x,y+1/2,-z+1/2'
'x,-y+1/2,z+1/2'
'y+3/4,x+1/4,-z+1/4'
'-y+3/4,-x+1/4,z+1/4'
loop_
_atom_site_label
_atom_site_fract_x
_atom_site_fract_y
_atom_site_fract_z
_atom_site_occupancy
Sn1 0.1756 0.0731 0.4384 1
Rh1 0.0000 0.2500 0.1250 1
```

volume: 120.0 Å³/f.u.
E: -198.0 eV for the cell shown
DFT formation energy: -270 meV per atom
total moment: 0.01 μB per cell

A relaxed structure of Sn3Rh. Source: the Materials Project, functional PBE.

Structure (CIF):
```
data_Sn3Rh
_space_group_name_H-M_alt 'F m -3 m'
_space_group_IT_number 225
_space_group_name_Hall '-F 4 2 3'
_cell_length_a 7.0829
_cell_length_b 7.0829
_cell_length_c 7.0829
_cell_angle_alpha 90.00
_cell_angle_beta 90.00
_cell_angle_gamma 90.00
loop_
_atom_site_label
_atom_site_fract_x
_atom_site_fract_y
_atom_site_fract_z
_atom_site_occupancy
Sn1 0.0000 0.0000 0.0000 1
Sn2 0.2500 0.2500 0.2500 1
Rh1 0.0000 0.0000 0.5000 1
```

volume: 88.8 Å³/f.u.
E: -76.0 eV for the cell shown
DFT formation energy: 101 meV per atom
total moment: 0.01 μB per cell